Entry P
Computed, not measured: a geometry-optimized BN structure at the PBE-GGA level of DFT.

Calculated values
As for the space group: P1.

```
BN
1.0
-6.9469 4.7612 7.5745
-1.2373 -9.4035 5.5356
7.8348 2.8055 6.4913
N B
50 50
Direct
0.3781 0.6075 0.3011
0.5008 0.5110 0.5731
0.3392 0.1885 0.3755
0.9102 0.0516 0.6258
0.0813 0.9766 0.7559
0.2784 0.6886 0.5023
0.7895 0.0871 0.3582
0.3608 0.9459 0.7896
0.8835 0.2549 0.3296
0.7118 0.8801 0.8721
0.7367 0.9450 0.5399
0.9620 0.5528 0.9112
0.4037 0.7846 0.1572
0.8357 0.7850 0.0555
0.3677 0.9907 0.2567
0.3619 0.7602 0.9346
0.8950 0.6921 0.2733
0.3018 0.9101 0.5642
0.9946 0.7824 0.8814
0.3148 0.5512 0.8590
0.3152 0.4597 0.4624
0.9078 0.6504 0.7108
0.3652 0.3890 0.2279
0.3569 0.1570 0.8833
0.2126 0.5342 0.6631
0.3843 0.5709 0.0731
0.3477 0.1382 0.6363
0.4346 0.8104 0.3857
0.0832 0.3329 0.1533
0.9400 0.4788 0.3771
0.6982 0.2663 0.4974
0.7066 0.4084 0.0730
0.7250 0.4922 0.1263
0.1019 0.9900 0.4921
0.4646 0.2974 0.5189
0.0940 0.3337 0.0478
0.7066 0.5523 0.6622
0.4998 0.9500 0.5768
0.0063 0.8316 0.6447
0.3600 0.3637 0.9862
0.2832 0.7404 0.7268
0.9898 0.2643 0.6883
0.6235 0.1141 0.1564
0.6588 0.0201 0.1323
0.3584 0.1813 0.1286
0.3787 0.9722 0.0223
0.0674 0.0499 0.9945
0.2945 0.3414 0.7620
0.9354 0.6974 0.4751
0.9184 0.9115 0.3697
0.9603 0.8390 0.0027
0.5842 0.2769 0.5139
0.9524 0.7271 0.6059
0.3326 0.2101 0.7574
0.3663 0.7002 0.3987
0.9532 0.6618 0.8403
0.3512 0.4822 0.3285
0.3562 0.6285 0.9547
0.9395 0.1665 0.6584
0.0286 0.9658 0.6172
0.7552 0.8293 0.9687
0.3839 0.8404 0.0370
0.4052 0.8635 0.2657
0.2689 0.6104 0.7506
0.1975 0.4044 0.7000
0.9228 0.3681 0.3467
0.9974 0.4558 0.8459
0.3271 0.4187 0.8674
0.3141 0.0601 0.3641
0.6202 0.9397 0.6156
0.3687 0.0489 0.1340
0.3579 0.2324 0.9990
0.7758 0.2116 0.4064
0.9940 0.0075 0.2401
0.0129 0.9665 0.0816
0.0789 0.0309 0.8717
0.2296 0.9879 0.4787
0.4266 0.4264 0.5225
0.3679 0.0248 0.8970
0.3754 0.9965 0.6568
0.0385 0.9832 0.3806
0.8539 0.7238 0.1629
0.3571 0.2553 0.2473
0.6025 0.5280 0.6173
0.8069 0.5911 0.6884
0.7980 0.9904 0.6474
0.9006 0.1252 0.2918
0.2604 0.5622 0.5375
0.0332 0.8558 0.7724
0.3721 0.4402 0.0967
0.4280 0.8893 0.4963
0.3739 0.2045 0.5094
0.9235 0.6015 0.3812
0.0553 0.3566 0.7305
0.3952 0.6543 0.1753
0.8049 0.9758 0.4211
0.6950 0.9335 0.7548
0.9196 0.7819 0.3750
0.3366 0.8187 0.8159
0.2756 0.7812 0.6004
```



Entry Q
Computed, not measured: a geometry-optimized BN structure at the PBE-GGA level of DFT.

Calculated values
As for the space group: P2_1/c.

```
BN
1.0
4.9386 0.0000 0.0000
0.0000 3.9270 0.0000
0.0000 1.8478 4.5830
N B
4 4
Direct
0.3435 0.5010 0.6564
0.1565 0.5010 0.1564
0.8435 0.4990 0.8436
0.6565 0.4990 0.3436
0.6422 0.4997 0.6420
0.1422 0.5003 0.8580
0.8578 0.4997 0.1420
0.3578 0.5003 0.3580
```



Winner for stability: entry Q



Entry P
Computed, not measured: a geometry-optimized BN structure at the PBE-GGA level of DFT.

Calculated values
As for the space group: I4/mmm.

```
BN
1.0
-2.3904 2.3904 1.3099
2.3904 -2.3904 1.3099
2.3904 2.3904 -1.3099
N B
1 1
Direct
0.5000 0.5000 0.0000
0.0000 0.0000 0.0000
```



Entry Q
Computed, not measured: a geometry-optimized BN structure at the PBE-GGA level of DFT.

Calculated values
As for the space group: F-43m. The calculation puts the maximum piezoelectric response at 0.9 C/m².

```
BN
1.0
0.0000 1.8130 1.8130
1.8130 0.0000 1.8130
1.8130 1.8130 0.0000
B N
1 1
Direct
0.0000 0.0000 0.0000
0.2500 0.2500 0.2500
```



Entry R
Computed, not measured: a geometry-optimized BN structure at the PBE-GGA level of DFT.

Calculated values
As for the space group: P1.

```
BN
1.0
-5.6984 2.2221 8.5944
-6.7429 -8.0106 -2.6494
6.1680 -6.8991 6.1273
B N
50 50
Direct
0.9749 0.5868 0.4941
0.3652 0.6952 0.2365
0.3420 0.8440 0.8824
0.3796 0.7973 0.6653
0.9556 0.1115 0.4808
0.9382 0.5050 0.2777
0.9213 0.8880 0.2036
0.3320 0.2279 0.6184
0.9228 0.7352 0.3595
0.6150 0.2597 0.6522
0.3657 0.0895 0.1936
0.9277 0.5717 0.0424
0.2722 0.4136 0.7120
0.9397 0.7312 0.8396
0.7382 0.9862 0.4426
0.2897 0.4477 0.9326
0.0454 0.7858 0.4449
0.7780 0.9216 0.3048
0.9244 0.5222 0.8192
0.4086 0.7360 0.4489
0.7564 0.9834 0.6091
0.7276 0.3162 0.1393
0.0019 0.2726 0.2778
0.6582 0.4397 0.2910
0.8100 0.1014 0.1529
0.3509 0.0564 0.9682
0.4308 0.2155 0.4908
0.3262 0.1063 0.4186
0.2671 0.3572 0.5622
0.3308 0.2688 0.0617
0.0720 0.1067 0.3729
0.5059 0.9278 0.5373
0.3165 0.2335 0.8373
0.3195 0.4838 0.1525
0.4091 0.9092 0.3212
0.3020 0.6307 0.8026
0.3425 0.5170 0.3765
0.9409 0.4730 0.6814
0.9650 0.3610 0.4711
0.5618 0.3419 0.4386
0.3296 0.5785 0.5863
0.0591 0.7175 0.6700
0.3131 0.6650 0.0203
0.1510 0.2430 0.5099
0.3765 0.0205 0.7393
0.3783 0.3111 0.2766
0.3587 0.8766 0.1035
0.8011 0.8881 0.7242
0.1089 0.8727 0.2909
0.7863 0.3198 0.7771
0.6719 0.4207 0.1710
0.0604 0.0358 0.9386
0.9601 0.3811 0.3363
0.1498 0.8575 0.4056
0.4540 0.2839 0.3799
0.6781 0.2650 0.7544
0.3086 0.3990 0.0498
0.6048 0.5965 0.9069
0.0045 0.2404 0.5191
0.4208 0.9295 0.6460
0.4600 0.8599 0.4290
0.3732 0.0374 0.3128
0.8909 0.3942 0.7837
0.8197 0.9845 0.1909
0.3559 0.9758 0.8613
0.3350 0.1872 0.9551
0.0612 0.7456 0.7846
0.9383 0.5295 0.1501
0.9215 0.6076 0.9187
0.3398 0.7582 0.7824
0.0388 0.6945 0.5492
0.3421 0.1563 0.7244
0.1961 0.1405 0.4350
0.3348 0.4350 0.2704
0.0522 0.8875 0.1862
0.3637 0.0088 0.0876
0.2886 0.5808 0.9204
0.3326 0.7958 0.0018
0.3582 0.2220 0.1790
0.0442 0.1622 0.2594
0.9790 0.0782 0.8930
0.6138 0.6416 0.9976
0.3822 0.7021 0.5702
0.8420 0.8064 0.2843
0.7823 0.2097 0.1108
0.2894 0.5449 0.7040
0.3150 0.4774 0.4981
0.8391 0.8096 0.8002
0.9553 0.4678 0.5538
0.6451 0.4393 0.4095
0.6393 0.9703 0.5373
0.3251 0.6155 0.1378
0.8371 0.0514 0.5202
0.9310 0.6020 0.3703
0.3832 0.8264 0.2192
0.6485 0.0201 0.9152
0.3775 0.6466 0.3548
0.2811 0.3614 0.8285
0.6302 0.9403 0.9754
0.5584 0.2570 0.5471
```



Entry S
Computed, not measured: a geometry-optimized BN structure at the PBE-GGA level of DFT.

Calculated values
As for the space group: Cc. The calculation puts the maximum piezoelectric response at 0.7 C/m².

```
BN
1.0
-4.2480 -1.9006 1.8113
4.9462 -0.1343 0.6747
-0.0270 2.4513 3.5917
B N
4 4
Direct
0.5642 0.1770 0.5082
0.1770 0.5642 0.0082
0.4344 0.5664 0.4998
0.5664 0.4344 0.9998
0.5118 0.3799 0.6789
0.3857 0.7783 0.6592
0.7783 0.3857 0.1592
0.3799 0.5118 0.1789
```



Winner for stability: entry Q



Entry P
Computed, not measured: a geometry-optimized BN structure at the PBE-GGA level of DFT.

Calculated values
As for the space group: P1.

```
BN
1.0
1.5041 -3.0245 1.5603
0.1765 -1.4118 2.9484
-0.9294 -2.2757 -0.4976
N B
1 1
Direct
0.6685 0.3165 0.6676
0.9796 0.0222 0.0165
```



Entry Q
Computed, not measured: a geometry-optimized BN structure at the PBE-GGA level of DFT.

Calculated values
As for the space group: Cm.

```
BN
1.0
3.7885 -5.0388 -2.1901
4.2870 -3.2863 -3.9193
3.3774 1.4330 2.4262
B N
4 4
Direct
0.5315 0.5315 0.5017
0.0001 0.0001 0.0012
0.2000 0.2000 0.5723
0.8658 0.8658 0.6194
0.3123 0.3123 0.6070
0.5062 0.5062 0.1568
0.9808 0.9808 0.6569
0.6469 0.6469 0.5562
```



Winner for stability: entry P



Entry P
Computed, not measured: a geometry-optimized Sr7SiB3NO13 structure at the PBE-GGA level of DFT.

Calculated values
As for the space group: P1.

```
Sr7SiB3NO13
1.0
-9.3398 2.1418 5.1021
2.5248 -10.1856 -2.5652
3.2573 -0.7192 6.2053
B O Sr Si N
6 26 14 2 2
Direct
0.6319 0.8155 0.6458
0.8181 0.6387 0.1422
0.8213 0.1834 0.1394
0.3637 0.1806 0.1367
0.1845 0.3663 0.6407
0.1817 0.8172 0.6432
0.4662 0.8160 0.1620
0.3482 0.5317 0.1566
0.5333 0.1851 0.6557
0.6970 0.1116 0.0326
0.3192 0.3928 0.5912
0.6555 0.4710 0.6572
0.3321 0.6672 0.8414
0.1141 0.4149 0.5229
0.8430 0.1198 0.2970
0.1836 0.6507 0.1592
0.8849 0.7285 0.2962
0.1794 0.8806 0.8133
0.8902 0.5880 0.0325
0.5893 0.7004 0.5196
0.1198 0.2928 0.8050
0.6911 0.8142 0.8194
0.6785 0.5988 0.0973
0.2792 0.1627 0.2931
0.3997 0.0775 0.0923
0.6678 0.3337 0.3419
0.6101 0.9273 0.5928
0.8176 0.3473 0.6562
0.2979 0.8889 0.5216
0.9249 0.3205 0.0881
0.4131 0.3020 0.0255
0.0715 0.6829 0.5908
0.5076 0.4638 0.3503
0.9577 0.4895 0.3498
0.6668 0.3342 0.9892
0.7285 0.8594 0.1881
0.8662 0.7409 0.6654
0.5337 0.0437 0.3510
0.0410 0.5114 0.8490
0.2617 0.1288 0.6592
0.4926 0.5336 0.8509
0.3330 0.6666 0.4865
0.1399 0.8687 0.1748
0.1336 0.2707 0.1636
0.4694 0.9586 0.8511
0.8683 0.1296 0.6640
0.3328 0.6667 0.0758
0.6686 0.3345 0.5764
0.9937 0.9940 0.5331
0.9968 0.9971 0.9349
```



Entry Q
Computed, not measured: a geometry-optimized Sr7SiB3NO13 structure at the PBE-GGA level of DFT.

Calculated values
As for the space group: P6_3.

```
Sr7SiB3NO13
1.0
5.3935 -9.3418 0.0000
5.3935 9.3418 0.0000
0.0000 0.0000 7.0439
Sr O N B Si
14 26 2 6 2
Direct
0.4756 0.9575 0.8485
0.8748 0.1354 0.6803
0.4819 0.5244 0.8485
0.2606 0.1252 0.6803
0.5244 0.0425 0.3485
0.9575 0.4819 0.3485
0.3333 0.6667 0.4850
0.5181 0.4756 0.3485
0.1354 0.2606 0.1803
0.0425 0.5181 0.8485
0.7394 0.8748 0.1803
0.8646 0.7394 0.6803
0.6667 0.3333 0.9850
0.1252 0.8646 0.1803
0.1340 0.2871 0.8078
0.7129 0.8470 0.8078
0.3489 0.5323 0.1572
0.3908 0.0694 0.0759
0.6786 0.6092 0.0759
0.4090 0.2987 0.0347
0.8167 0.3489 0.6572
0.2871 0.1530 0.3078
0.8660 0.7129 0.3078
0.6092 0.9306 0.5759
0.9306 0.3214 0.0759
0.3214 0.3908 0.5759
0.6667 0.3333 0.3391
0.3333 0.6667 0.8391
0.1103 0.4090 0.5347
0.0694 0.6786 0.5759
0.5323 0.1833 0.6572
0.1833 0.6511 0.1572
0.8470 0.1340 0.3078
0.5910 0.7013 0.5347
0.8897 0.5910 0.0347
0.7013 0.1103 0.0347
0.4677 0.8167 0.1572
0.1530 0.8660 0.8078
0.6511 0.4677 0.6572
0.2987 0.8897 0.5347
0.0000 0.0000 0.9763
0.0000 0.0000 0.4763
0.6379 0.8258 0.6410
0.1742 0.8120 0.6410
0.8120 0.6379 0.1410
0.8258 0.1880 0.1410
0.1880 0.3621 0.6410
0.3621 0.1742 0.1410
0.6667 0.3333 0.5745
0.3333 0.6667 0.0745
```



Winner for stability: entry P